Compound: LiCoOF2
Source: Materials Project
Functional: PBE with a Hubbard U
Structure: relaxed

Spin magnetization ... 17.3 Bohr magnetons per cell
ΔH_f (0 K) ... -206.2 kJ per mole of atoms
ρ ... 3.7 Mg/m³
Energy with MP2020 corrections ... -5.696 eV/atom
Calculated total energy ... -201.9 eV/cell
Energy relative to the lowest polymorph listed for this composition ... 41 meV/atom

Geometry as POSCAR:
```
LiCoOF2
1.0
8.891 0.000 0.000
0.000 5.100 0.000
-8.380 0.000 9.431
Li Co O F
8 8 8 16
direct
0.000 0.070 0.000
0.000 0.930 0.500
0.195 0.425 0.505
0.195 0.575 0.005
0.697 0.415 0.702
0.697 0.585 0.202
0.863 0.090 0.199
0.863 0.910 0.699
0.047 0.405 0.696
0.047 0.595 0.196
0.377 0.022 0.409
0.377 0.978 0.909
0.500 0.051 0.196
0.500 0.949 0.696
0.602 0.404 0.930
0.602 0.596 0.430
0.129 0.112 0.793
0.129 0.888 0.293
0.420 0.185 0.563
0.420 0.815 0.063
0.485 0.093 0.825
0.485 0.907 0.325
0.570 0.245 0.043
0.570 0.755 0.543
0.063 0.278 0.559
0.063 0.722 0.059
0.240 0.233 0.072
0.240 0.767 0.572
0.312 0.396 0.317
0.312 0.604 0.817
0.616 0.412 0.298
0.616 0.588 0.798
0.741 0.293 0.564
0.741 0.707 0.064
0.791 0.069 0.802
0.791 0.931 0.302
0.904 0.279 0.069
0.904 0.721 0.569
0.978 0.419 0.302
0.978 0.581 0.802
```



Compound: Li4Co5Te3O16
Source: Materials Project
Functional: PBE with a Hubbard U
Structure: relaxed

Spin magnetization ... 14.3 Bohr magnetons per cell
ΔH_f (0 K) ... -152.6 kJ per mole of atoms
ρ ... 4.9 Mg/m³
Energy with MP2020 corrections ... -6.287 eV/atom
Calculated total energy ... -156.9 eV/cell

Geometry as POSCAR:
```
Li4Co5Te3O16
1.0
6.170 0.000 0.000
3.083 5.367 0.000
0.297 -0.096 9.858
Li Co Te O
4 5 3 16
direct
0.000 0.000 0.000
0.020 0.991 0.481
0.336 0.337 0.896
0.657 0.680 0.362
0.140 0.187 0.206
0.142 0.678 0.207
0.277 0.361 0.465
0.319 0.845 0.709
0.625 0.683 0.012
0.634 0.185 0.209
0.812 0.349 0.708
0.813 0.843 0.709
0.019 0.514 0.322
0.124 0.701 0.600
0.135 0.173 0.595
0.293 0.835 0.101
0.337 0.336 0.097
0.471 0.051 0.330
0.477 0.482 0.329
0.503 0.523 0.823
0.511 0.978 0.820
0.671 0.680 0.594
0.677 0.152 0.597
0.801 0.871 0.096
0.803 0.327 0.093
0.949 0.026 0.304
0.953 0.537 0.825
0.963 0.010 0.815
```